Material: MgMn3SnO8
Method: DFT, GGA+U
State: optimized geometry

Unit cell a=6.1297 b=6.1270 c=6.1270 alpha=58.88 beta=58.85 gamma=58.85
Closest atoms and distances in Å follow each position.
Fractional positions:
Mg 0.0000 0.0000 0.0000  6 O 2.17
Mn 0.0000 0.5000 0.5000  6 O 1.96-2.05
Mn 0.5000 0.0000 0.5000  6 O 1.96-2.05
Mn 0.5000 0.5000 0.0000  6 O 1.96-2.05
Sn 0.5000 0.5000 0.5000  6 O 2.13
O 0.2738 0.2737 0.2737  3 Mn 1.96
O 0.2529 0.2524 0.7232  2 Mn 2.04-2.05, 1 Sn 2.13, 1 Mg 2.17
O 0.2528 0.7232 0.2524  2 Mn 2.04-2.05, 1 Sn 2.13, 1 Mg 2.17
O 0.7233 0.2525 0.2527  2 Mn 2.05, 1 Sn 2.13, 1 Mg 2.17
O 0.2767 0.7475 0.7473  2 Mn 2.05, 1 Sn 2.13, 1 Mg 2.17
O 0.7472 0.2768 0.7476  2 Mn 2.04-2.05, 1 Sn 2.13, 1 Mg 2.17
O 0.7471 0.7476 0.2768  2 Mn 2.04-2.05, 1 Sn 2.13, 1 Mg 2.17
O 0.7262 0.7263 0.7263  3 Mn 1.96

The calculation puts the total energy at -6.79 eV per atom. For the energy relative to the elements, the calculation gives -26.1 eV/f.u. As for the excess energy over the best structure of this formula in the dataset: 0.80 eV per formula unit. The calculation puts the MP2020-corrected energy at -7.601 eV per atom. The volume comes out at 158.5 Å³ per cell.